Entry 1:
First-principles (GGA-PBE) data for crystalline ZnCo4S8 at its relaxed geometry, as listed in the Materials Project database.

Cell lengths 6.6544, 6.6544, 6.6544 Å; angles 61.57, 61.57, 61.57 degrees
With the nearest neighbours (Å) after each atom.
Fractional positions:
1 S 0.2608 0.7078 0.2608  3 Co 2.24-2.28, 1 Zn 2.50
2 S 0.7078 0.2608 0.2608  3 Co 2.24-2.28, 1 Zn 2.50
3 S 0.7373 0.7373 0.7373  3 Co 2.27
4 S 0.2922 0.7392 0.7392  3 Co 2.24-2.28, 1 Zn 2.50
5 S 0.7392 0.2922 0.7392  3 Co 2.24-2.28, 1 Zn 2.50
6 S 0.2627 0.2627 0.2627  3 Co 2.27
7 S 0.2608 0.2608 0.7078  3 Co 2.24-2.28, 1 Zn 2.50
8 S 0.7392 0.7392 0.2922  3 Co 2.24-2.28, 1 Zn 2.50
9 Co 0.5000 0.5000 0.5000  6 S 2.28
10 Co 0.5000 0.5000 0.0000  6 S 2.24-2.27
11 Co 0.5000 0.0000 0.5000  6 S 2.24-2.27
12 Co 0.0000 0.5000 0.5000  6 S 2.24-2.27
13 Zn 0.0000 0.0000 0.0000  6 S 2.50

## Properties
excess energy over the best structure of this formula in the dataset: 0.0068 eV/atom
calculated formation energy: -0.6185 eV/atom
DFT total energy: -66.801 eV for the cell shown
size of the total moment: 0.05 Bohr magnetons per cell



Entry 2:
First-principles (GGA-PBE) data for crystalline HoMgGa at its relaxed geometry, as listed in the Materials Project database.

Cell lengths 7.2881, 7.2881, 4.3989 Å; angles 90.00, 90.00, 120.00 degrees
With the nearest neighbours (Å) after each atom.
Fractional positions:
1 Ga 0.6667 0.3333 0.5000  3 Mg 2.81, 6 Ho 3.09
2 Ga 0.3333 0.6667 0.5000  3 Mg 2.81, 6 Ho 3.09
3 Ga 0.0000 0.0000 0.0000  6 Mg 2.83, 3 Ho 3.09
4 Ho 0.0000 0.5767 0.0000  5 Ga 3.09, 2 Mg 3.27
5 Ho 0.5767 0.0000 0.0000  5 Ga 3.09, 2 Mg 3.27
6 Ho 0.4233 0.4233 0.0000  5 Ga 3.09, 2 Mg 3.27
7 Mg 0.0000 0.2448 0.5000  4 Ga 2.81-2.83, 2 Mg 3.09
8 Mg 0.7552 0.7552 0.5000  4 Ga 2.81-2.83, 2 Mg 3.09
9 Mg 0.2448 0.0000 0.5000  4 Ga 2.81-2.83, 2 Mg 3.09

## Properties
calculated formation energy: -0.4872 eV/atom
DFT total energy: -32.017 eV for the cell shown



Entry 3:
First-principles (GGA-PBE) data for crystalline TlIn5S6 at its relaxed geometry, as listed in the Materials Project database.

Cell lengths 3.9844, 8.9411, 17.8762 Å; angles 85.05, 90.00, 90.00 degrees
With the nearest neighbours (Å) after each atom.
Fractional positions:
1 S 0.7500 0.0520 0.1318  2 In 2.52
2 S 0.2500 0.6941 0.2349  3 In 2.56-2.64
3 S 0.7500 0.1632 0.5050  3 In 2.55-2.66
4 S 0.2500 0.9480 0.8682  2 In 2.52
5 S 0.2500 0.4664 0.5864  4 In 2.61-2.69
6 S 0.2500 0.2023 0.3324  3 In 2.61-2.63
7 S 0.2500 0.4053 0.0740  3 In 2.55-2.84
8 S 0.7500 0.5947 0.9260  3 In 2.55-2.84
9 S 0.2500 0.8368 0.4950  3 In 2.55-2.66
10 S 0.7500 0.7977 0.6676  3 In 2.61-2.63
11 S 0.7500 0.3059 0.7651  3 In 2.56-2.64
12 S 0.7500 0.5336 0.4136  4 In 2.61-2.69
13 Tl 0.2500 0.6248 0.7845  7 S 3.19-3.52
14 Tl 0.7500 0.3752 0.2155  7 S 3.19-3.52
15 In 0.7500 0.7659 0.3147  3 S 2.56-2.61, 1 In 2.79
16 In 0.7500 0.1135 0.8859  3 S 2.52-2.64
17 In 0.2500 0.8865 0.1141  3 S 2.52-2.64
18 In 0.2500 0.9655 0.6166  3 S 2.55-2.61, 1 In 2.79
19 In 0.2500 0.2341 0.6853  3 S 2.56-2.61, 1 In 2.79
20 In 0.7500 0.0345 0.3834  3 S 2.55-2.61, 1 In 2.79
21 In 0.7500 0.6575 0.5444  6 S 2.63-2.69
22 In 0.2500 0.3425 0.4556  6 S 2.63-2.69
23 In 0.2500 0.6954 0.9955  3 S 2.55-2.84, 1 In 2.84
24 In 0.7500 0.3046 0.0045  3 S 2.55-2.84, 1 In 2.84

## Properties
calculated formation energy: -0.7641 eV/atom
DFT total energy: -94.182 eV for the cell shown



DFT total energy of number 2 (HoMgGa)? -32.017 eV for the cell shown



Copy entry 1 word for word.
First-principles (GGA-PBE) data for crystalline ZnCo4S8 at its relaxed geometry, as listed in the Materials Project database.

Cell lengths 6.6544, 6.6544, 6.6544 Å; angles 61.57, 61.57, 61.57 degrees
With the nearest neighbours (Å) after each atom.
Fractional positions:
1 S 0.2608 0.7078 0.2608  3 Co 2.24-2.28, 1 Zn 2.50
2 S 0.7078 0.2608 0.2608  3 Co 2.24-2.28, 1 Zn 2.50
3 S 0.7373 0.7373 0.7373  3 Co 2.27
4 S 0.2922 0.7392 0.7392  3 Co 2.24-2.28, 1 Zn 2.50
5 S 0.7392 0.2922 0.7392  3 Co 2.24-2.28, 1 Zn 2.50
6 S 0.2627 0.2627 0.2627  3 Co 2.27
7 S 0.2608 0.2608 0.7078  3 Co 2.24-2.28, 1 Zn 2.50
8 S 0.7392 0.7392 0.2922  3 Co 2.24-2.28, 1 Zn 2.50
9 Co 0.5000 0.5000 0.5000  6 S 2.28
10 Co 0.5000 0.5000 0.0000  6 S 2.24-2.27
11 Co 0.5000 0.0000 0.5000  6 S 2.24-2.27
12 Co 0.0000 0.5000 0.5000  6 S 2.24-2.27
13 Zn 0.0000 0.0000 0.0000  6 S 2.50

## Properties
excess energy over the best structure of this formula in the dataset: 0.0068 eV/atom
calculated formation energy: -0.6185 eV/atom
DFT total energy: -66.801 eV for the cell shown
size of the total moment: 0.05 Bohr magnetons per cell



Copy entry 1 word for word.
First-principles (GGA-PBE) data for crystalline ZnCo4S8 at its relaxed geometry, as listed in the Materials Project database.

Cell lengths 6.6544, 6.6544, 6.6544 Å; angles 61.57, 61.57, 61.57 degrees
With the nearest neighbours (Å) after each atom.
Fractional positions:
1 S 0.2608 0.7078 0.2608  3 Co 2.24-2.28, 1 Zn 2.50
2 S 0.7078 0.2608 0.2608  3 Co 2.24-2.28, 1 Zn 2.50
3 S 0.7373 0.7373 0.7373  3 Co 2.27
4 S 0.2922 0.7392 0.7392  3 Co 2.24-2.28, 1 Zn 2.50
5 S 0.7392 0.2922 0.7392  3 Co 2.24-2.28, 1 Zn 2.50
6 S 0.2627 0.2627 0.2627  3 Co 2.27
7 S 0.2608 0.2608 0.7078  3 Co 2.24-2.28, 1 Zn 2.50
8 S 0.7392 0.7392 0.2922  3 Co 2.24-2.28, 1 Zn 2.50
9 Co 0.5000 0.5000 0.5000  6 S 2.28
10 Co 0.5000 0.5000 0.0000  6 S 2.24-2.27
11 Co 0.5000 0.0000 0.5000  6 S 2.24-2.27
12 Co 0.0000 0.5000 0.5000  6 S 2.24-2.27
13 Zn 0.0000 0.0000 0.0000  6 S 2.50

## Properties
excess energy over the best structure of this formula in the dataset: 0.0068 eV/atom
calculated formation energy: -0.6185 eV/atom
DFT total energy: -66.801 eV for the cell shown
size of the total moment: 0.05 Bohr magnetons per cell



The lowest calculated formation energy belongs to which entry? TlIn5S6